12
Lattice="-0.373 -1.918 -3.252 3.725 0.482 -0.712 2.717 -11.464 6.451" Properties=species:S:1:pos:R:3 comment="Ba2Mn3O7 GGA+U optimized geometry" space_group="Pmm2, No. 25" pbc="T T T"
Ba 2.511 -4.239 0.006
Ba 3.558 -8.655 2.491
Mn -0.005 -3.470 -2.373
Mn 1.976 -11.826 2.329
Mn 1.358 -5.735 3.221
O 3.208 -5.556 2.759
O 0.236 -2.741 -0.619
O 2.108 -10.637 3.824
O 1.906 -3.436 -2.616
O 3.789 -11.381 1.854
O 0.605 -6.027 -0.917
O 1.369 -9.254 0.899

***

54
Lattice="-0.227 -9.688 -2.506 -7.768 -3.903 -4.921 1.086 -2.577 -9.398" Properties=species:S:1:pos:R:3 comment="Na4V2C4SO16 GGA+U optimized geometry" space_group="Fddd, No. 70" pbc="T T T"
Na -4.805 -7.413 -10.885
Na -1.653 -9.831 -9.871
Na -3.380 -13.873 -14.078
Na -6.533 -11.455 -15.091
Na -2.104 -8.756 -5.941
Na -5.256 -6.338 -6.954
Na -6.983 -10.380 -11.160
Na -3.831 -12.798 -10.147
V -0.321 -3.310 -6.802
V -0.864 -2.021 -2.103
V -4.747 -3.973 -4.563
V -0.977 -6.865 -3.356
C -1.613 -7.072 -11.742
C -6.352 -14.767 -15.295
C -7.365 -8.069 -8.870
C -2.556 -11.753 -7.301
C -6.081 -8.458 -13.730
C -1.271 -12.142 -12.161
C -2.284 -5.444 -5.737
C -7.023 -13.139 -9.289
S -5.182 -12.127 -12.619
S -3.455 -8.084 -8.413
O -2.739 -7.320 -12.341
O -4.759 -13.500 -12.195
O -1.365 -5.865 -11.353
O 0.371 -11.225 -9.704
O -7.456 -9.354 -8.972
O -4.986 -5.668 -12.604
O -4.786 -11.160 -11.545
O -6.664 -12.040 -12.813
O -2.294 -10.143 -3.921
O -3.757 -12.036 -6.919
O -7.534 -11.189 -6.719
O -4.518 -11.807 -13.923
O -7.153 -7.366 -9.942
O -1.738 -11.206 -6.453
O -0.780 -8.032 -11.492
O -6.450 -8.252 -12.506
O -2.186 -11.959 -8.526
O -0.088 -8.276 -4.619
O 0.869 -5.102 -9.658
O -1.257 -3.157 -8.583
O -4.119 -8.404 -7.109
O -2.188 -6.445 -4.914
O -5.965 -5.598 -4.714
O -7.429 -7.491 -7.712
O -1.972 -8.171 -8.219
O -3.851 -9.051 -9.486
O -3.423 -4.855 -5.921
O -1.180 -10.858 -12.060
O -1.240 -5.083 -6.407
O -7.044 -4.658 -7.172
O -3.877 -6.711 -8.837
O -5.897 -12.891 -8.690

***

36
Lattice="7.541 -4.333 0.000 7.541 4.333 0.000 5.052 0.000 7.079" Properties=species:S:1:pos:R:3 comment="Mn5SnP6O24 GGA+U optimized geometry" space_group="R3, No. 146" pbc="T T T"
Mn 0.058 0.000 0.020
Mn 7.152 0.000 2.515
Mn 10.073 0.000 3.541
Mn 2.922 0.000 1.027
Mn 12.975 0.000 4.562
Sn 17.227 0.000 6.057
P 7.530 1.755 5.296
P 9.277 1.287 0.326
P 8.269 -3.042 3.194
P 11.868 3.056 3.809
P 10.819 -1.231 6.792
P 12.575 -1.825 1.798
O 13.396 0.906 6.267
O 14.387 0.819 3.448
O 13.866 -1.725 4.928
O 7.046 0.854 6.472
O 8.783 2.560 5.700
O 8.056 0.851 4.134
O 9.166 2.836 0.441
O 8.911 0.638 1.701
O 10.873 3.458 2.723
O 8.422 -1.489 3.091
O 11.506 3.700 5.212
O 9.364 -0.831 7.016
O 10.745 0.854 0.122
O 8.675 -3.691 1.837
O 11.692 1.511 3.938
O 9.274 -3.414 4.305
O 11.177 -0.614 5.403
O 10.991 -2.803 6.678
O 12.045 -0.897 2.934
O 11.350 -2.627 1.366
O 13.116 -0.897 0.632
O 6.256 1.691 2.210
O 5.774 -0.854 3.578
O 6.746 -0.837 0.814

***

58
Lattice="-4.196 6.862 -4.301 -10.654 -0.333 2.139 -3.146 6.357 8.515" Properties=species:S:1:pos:R:3 comment="KV5NiO22 GGA+U optimized geometry" space_group="P-1, No. 2" pbc="T T T"
K -8.680 6.868 -0.049
K -9.316 6.019 6.402
V -11.396 1.002 1.666
V -6.599 11.885 4.688
V -5.681 6.006 6.075
V -12.315 6.881 0.279
V -8.355 10.206 2.665
V -9.641 2.681 3.689
V -9.860 12.014 4.813
V -8.136 0.873 1.541
V -4.812 7.431 -1.565
V -13.184 5.456 7.918
Ni -4.670 3.633 1.580
Ni -13.326 9.254 4.774
O -1.808 0.676 1.032
O -16.188 12.211 5.321
O -5.163 7.785 6.875
O -12.833 5.102 -0.521
O -11.096 2.593 2.280
O -6.899 10.294 4.074
O -3.893 5.656 7.682
O -14.103 7.231 -1.329
O -5.443 4.187 5.944
O -12.553 8.700 0.410
O -4.102 6.269 5.036
O -13.894 6.618 1.318
O -11.071 6.502 1.269
O -6.925 6.385 5.085
O -8.405 8.635 2.226
O -9.591 4.252 4.128
O -7.804 5.491 -2.480
O -10.192 7.396 8.833
O -6.629 5.778 7.719
O -11.366 7.109 -1.365
O -9.515 10.362 4.193
O -8.481 2.525 2.161
O -4.944 5.654 -2.605
O -13.052 7.233 8.959
O -5.965 7.173 -0.421
O -12.030 5.714 6.775
O -11.019 2.010 4.813
O -6.977 10.877 1.540
O -5.978 3.674 -0.327
O -12.018 9.213 6.681
O -4.138 3.282 3.462
O -13.858 9.605 2.892
O -3.188 3.579 0.361
O -14.808 9.308 5.993
O -3.601 2.359 0.564
O -14.395 10.528 5.790
O -5.344 2.856 3.175
O -12.652 10.031 3.179
O -5.481 5.578 2.087
O -12.515 7.309 4.267
O -9.172 3.469 -0.805
O -8.824 9.418 7.158
O -6.651 5.885 2.322
O -11.345 7.002 4.032

***

| no. | formation energy (eV per atom) |
| --- | --- |
| 1 | -2.119 |
| 2 | -2.103 |
| 3 | -2.423 |
| 4 | -1.211 |